Record 1
# NaMg149

An optimized crystal structure of NaMg149 (r2SCAN, Materials Project).

Computed properties:
- ΔH_f (0 K): 11 meV/atom

a = 15.8846 Å, b = 15.8846 Å, c = 15.4357 Å
α = 90.00°, β = 90.00°, γ = 120.00°
Closest atoms and distances in Å follow each position.
Sites, in units of the cell vectors:
1 Na 0.0000 0.0000 0.0000  12 Mg 3.21-3.22
2 Mg 0.7998 0.2002 0.0000  12 Mg 3.16-3.19
3 Mg 0.4004 0.2002 0.0000  12 Mg 3.16-3.19
4 Mg 0.6001 0.2002 0.0000  12 Mg 3.16-3.18
5 Mg 0.0012 0.2032 0.0000  11 Mg 3.13-3.25, 1 Na 3.22
6 Mg 0.2020 0.2032 0.0000  11 Mg 3.13-3.25, 1 Na 3.22
7 Mg 0.7998 0.3999 0.0000  12 Mg 3.16-3.18
8 Mg 0.6001 0.3999 0.0000  12 Mg 3.16-3.18
9 Mg 0.4007 0.4009 0.0000  12 Mg 3.15-3.19
10 Mg 0.0002 0.4009 0.0000  12 Mg 3.15-3.19
11 Mg 0.2009 0.4017 0.0000  12 Mg 3.15-3.18
12 Mg 0.0002 0.5993 0.0000  12 Mg 3.15-3.19
13 Mg 0.5991 0.5993 0.0000  12 Mg 3.15-3.19
14 Mg 0.7998 0.5996 0.0000  12 Mg 3.16-3.19
15 Mg 0.3998 0.6002 0.0000  12 Mg 3.16-3.17
16 Mg 0.2004 0.6002 0.0000  12 Mg 3.16-3.17
17 Mg 0.0012 0.7980 0.0000  11 Mg 3.13-3.25, 1 Na 3.22
18 Mg 0.7968 0.7980 0.0000  11 Mg 3.13-3.25, 1 Na 3.22
19 Mg 0.5983 0.7991 0.0000  12 Mg 3.15-3.18
20 Mg 0.2009 0.7991 0.0000  12 Mg 3.15-3.18
21 Mg 0.3998 0.7996 0.0000  12 Mg 3.16-3.17
22 Mg 0.2020 0.9988 0.0000  11 Mg 3.13-3.25, 1 Na 3.22
23 Mg 0.7968 0.9988 0.0000  11 Mg 3.13-3.25, 1 Na 3.22
24 Mg 0.4007 0.9998 0.0000  12 Mg 3.15-3.19
25 Mg 0.5991 0.9998 0.0000  12 Mg 3.15-3.19
26 Mg 0.2665 0.1333 0.1663  12 Mg 3.16-3.18
27 Mg 0.8667 0.1333 0.1663  12 Mg 3.16-3.18
28 Mg 0.8667 0.7335 0.1663  12 Mg 3.16-3.18
29 Mg 0.6667 0.3333 0.1666  12 Mg 3.16-3.18
30 Mg 0.6667 0.1333 0.1665  12 Mg 3.16-3.18
31 Mg 0.4667 0.1333 0.1665  12 Mg 3.16-3.18
32 Mg 0.4667 0.3333 0.1665  12 Mg 3.16-3.18
33 Mg 0.8667 0.3333 0.1665  12 Mg 3.16-3.18
34 Mg 0.8667 0.5333 0.1665  12 Mg 3.16-3.18
35 Mg 0.6667 0.5334 0.1665  12 Mg 3.16-3.18
36 Mg 0.4667 0.5333 0.1666  12 Mg 3.15-3.18
37 Mg 0.0667 0.5333 0.1666  12 Mg 3.15-3.18
38 Mg 0.4667 0.9333 0.1666  12 Mg 3.15-3.18
39 Mg 0.2667 0.5334 0.1666  12 Mg 3.15-3.18
40 Mg 0.2667 0.7333 0.1666  12 Mg 3.15-3.18
41 Mg 0.4666 0.7333 0.1666  12 Mg 3.15-3.18
42 Mg 0.2668 0.3335 0.1666  12 Mg 3.13-3.18
43 Mg 0.0667 0.3335 0.1666  12 Mg 3.13-3.18
44 Mg 0.0667 0.7332 0.1666  12 Mg 3.13-3.18
45 Mg 0.6665 0.7332 0.1666  12 Mg 3.13-3.18
46 Mg 0.6665 0.9333 0.1666  12 Mg 3.13-3.18
47 Mg 0.2668 0.9333 0.1666  12 Mg 3.13-3.18
48 Mg 0.0676 0.1351 0.1695  11 Mg 3.13-3.22, 1 Na 3.21
49 Mg 0.0676 0.9324 0.1695  11 Mg 3.13-3.22, 1 Na 3.21
50 Mg 0.8649 0.9324 0.1695  11 Mg 3.13-3.22, 1 Na 3.21
51 Mg 0.4001 0.2000 0.3338  12 Mg 3.15-3.18
52 Mg 0.8000 0.2000 0.3338  12 Mg 3.15-3.18
53 Mg 0.8000 0.5999 0.3338  12 Mg 3.15-3.18
54 Mg 0.6000 0.2001 0.3338  12 Mg 3.15-3.18
55 Mg 0.7999 0.4000 0.3338  12 Mg 3.15-3.18
56 Mg 0.6000 0.4000 0.3338  12 Mg 3.15-3.18
57 Mg 0.0000 0.0000 0.3338  12 Mg 3.15-3.18
58 Mg 0.5999 0.0000 0.3338  12 Mg 3.15-3.18
59 Mg 0.4001 0.0000 0.3338  12 Mg 3.15-3.18
60 Mg 0.0000 0.4001 0.3338  12 Mg 3.15-3.18
61 Mg 0.4001 0.4001 0.3338  12 Mg 3.15-3.18
62 Mg 0.5999 0.5999 0.3338  12 Mg 3.15-3.18
63 Mg 0.0000 0.5999 0.3338  12 Mg 3.15-3.18
64 Mg 0.4000 0.6000 0.3338  12 Mg 3.15-3.18
65 Mg 0.2000 0.6000 0.3338  12 Mg 3.15-3.18
66 Mg 0.4000 0.8000 0.3338  12 Mg 3.15-3.18
67 Mg 0.2000 0.4000 0.3338  12 Mg 3.15-3.18
68 Mg 0.6000 0.8000 0.3338  12 Mg 3.15-3.18
69 Mg 0.2000 0.8000 0.3338  12 Mg 3.15-3.18
70 Mg 0.7998 0.0001 0.3339  12 Mg 3.13-3.18
71 Mg 0.2003 0.0001 0.3339  12 Mg 3.13-3.18
72 Mg 0.2003 0.2002 0.3339  12 Mg 3.13-3.18
73 Mg 0.9999 0.2002 0.3339  12 Mg 3.13-3.18
74 Mg 0.7998 0.7997 0.3339  12 Mg 3.13-3.18
75 Mg 0.9999 0.7997 0.3339  12 Mg 3.13-3.18
76 Mg 0.0667 0.1333 0.5000  12 Mg 3.15-3.18
77 Mg 0.8667 0.1333 0.5000  12 Mg 3.15-3.18
78 Mg 0.2666 0.1333 0.5000  12 Mg 3.15-3.18
79 Mg 0.4667 0.1334 0.5000  12 Mg 3.15-3.18
80 Mg 0.6667 0.1334 0.5000  12 Mg 3.15-3.18
81 Mg 0.8666 0.3333 0.5000  12 Mg 3.15-3.18
82 Mg 0.4667 0.3333 0.5000  12 Mg 3.15-3.18
83 Mg 0.6667 0.3333 0.5000  12 Mg 3.15-3.18
84 Mg 0.0667 0.3334 0.5000  12 Mg 3.15-3.18
85 Mg 0.2667 0.3334 0.5000  12 Mg 3.15-3.18
86 Mg 0.8666 0.5333 0.5000  12 Mg 3.15-3.18
87 Mg 0.6667 0.5333 0.5000  12 Mg 3.15-3.18
88 Mg 0.4667 0.5333 0.5000  12 Mg 3.15-3.18
89 Mg 0.0666 0.5333 0.5000  12 Mg 3.15-3.18
90 Mg 0.2667 0.5333 0.5000  12 Mg 3.15-3.18
91 Mg 0.8667 0.7334 0.5000  12 Mg 3.15-3.18
92 Mg 0.6666 0.7333 0.5000  12 Mg 3.15-3.18
93 Mg 0.0667 0.7333 0.5000  12 Mg 3.15-3.18
94 Mg 0.2667 0.7333 0.5000  12 Mg 3.15-3.18
95 Mg 0.4667 0.7333 0.5000  12 Mg 3.15-3.18
96 Mg 0.6666 0.9333 0.5000  12 Mg 3.15-3.18
97 Mg 0.2667 0.9333 0.5000  12 Mg 3.15-3.18
98 Mg 0.4667 0.9334 0.5000  12 Mg 3.15-3.18
99 Mg 0.8667 0.9333 0.5000  12 Mg 3.15-3.18
100 Mg 0.0667 0.9333 0.5000  12 Mg 3.15-3.18
101 Mg 0.7998 0.0001 0.6661  12 Mg 3.13-3.18
102 Mg 0.2003 0.0001 0.6661  12 Mg 3.13-3.18
103 Mg 0.2003 0.2002 0.6661  12 Mg 3.13-3.18
104 Mg 0.9999 0.2002 0.6661  12 Mg 3.13-3.18
105 Mg 0.7998 0.7997 0.6661  12 Mg 3.13-3.18
106 Mg 0.9999 0.7997 0.6661  12 Mg 3.13-3.18
107 Mg 0.2000 0.4000 0.6662  12 Mg 3.15-3.18
108 Mg 0.6000 0.8000 0.6662  12 Mg 3.15-3.18
109 Mg 0.2000 0.8000 0.6662  12 Mg 3.15-3.18
110 Mg 0.4000 0.6000 0.6662  12 Mg 3.15-3.18
111 Mg 0.2000 0.6000 0.6662  12 Mg 3.15-3.18
112 Mg 0.4000 0.8000 0.6662  12 Mg 3.15-3.18
113 Mg 0.5999 0.0000 0.6662  12 Mg 3.15-3.18
114 Mg 0.4001 0.0000 0.6662  12 Mg 3.15-3.18
115 Mg 0.0000 0.4001 0.6662  12 Mg 3.15-3.18
116 Mg 0.4001 0.4001 0.6662  12 Mg 3.15-3.18
117 Mg 0.5999 0.5999 0.6662  12 Mg 3.15-3.18
118 Mg 0.0000 0.5999 0.6662  12 Mg 3.15-3.18
119 Mg 0.0000 0.0000 0.6662  12 Mg 3.15-3.18
120 Mg 0.6000 0.2001 0.6662  12 Mg 3.15-3.18
121 Mg 0.7999 0.4000 0.6662  12 Mg 3.15-3.18
122 Mg 0.6000 0.4000 0.6662  12 Mg 3.15-3.18
123 Mg 0.4001 0.2000 0.6662  12 Mg 3.15-3.18
124 Mg 0.8000 0.2000 0.6662  12 Mg 3.15-3.18
125 Mg 0.8000 0.5999 0.6662  12 Mg 3.15-3.18
126 Mg 0.0676 0.1351 0.8305  11 Mg 3.13-3.22, 1 Na 3.21
127 Mg 0.0676 0.9324 0.8305  11 Mg 3.13-3.22, 1 Na 3.21
128 Mg 0.8649 0.9324 0.8305  11 Mg 3.13-3.22, 1 Na 3.21
129 Mg 0.2668 0.3335 0.8334  12 Mg 3.13-3.18
130 Mg 0.0667 0.3335 0.8334  12 Mg 3.13-3.18
131 Mg 0.0667 0.7332 0.8334  12 Mg 3.13-3.18
132 Mg 0.6665 0.7332 0.8334  12 Mg 3.13-3.18
133 Mg 0.6665 0.9333 0.8334  12 Mg 3.13-3.18
134 Mg 0.2668 0.9333 0.8334  12 Mg 3.13-3.18
135 Mg 0.2667 0.5334 0.8334  12 Mg 3.15-3.18
136 Mg 0.2667 0.7333 0.8334  12 Mg 3.15-3.18
137 Mg 0.4666 0.7333 0.8334  12 Mg 3.15-3.18
138 Mg 0.4667 0.5333 0.8334  12 Mg 3.15-3.18
139 Mg 0.0667 0.5333 0.8334  12 Mg 3.15-3.18
140 Mg 0.4667 0.9333 0.8334  12 Mg 3.15-3.18
141 Mg 0.6667 0.1333 0.8335  12 Mg 3.16-3.18
142 Mg 0.4667 0.1333 0.8335  12 Mg 3.16-3.18
143 Mg 0.4667 0.3333 0.8335  12 Mg 3.16-3.18
144 Mg 0.8667 0.3333 0.8335  12 Mg 3.16-3.18
145 Mg 0.8667 0.5333 0.8335  12 Mg 3.16-3.18
146 Mg 0.6667 0.5334 0.8335  12 Mg 3.16-3.18
147 Mg 0.6667 0.3333 0.8334  12 Mg 3.16-3.18
148 Mg 0.2665 0.1333 0.8337  12 Mg 3.16-3.18
149 Mg 0.8667 0.1333 0.8337  12 Mg 3.16-3.18
150 Mg 0.8667 0.7335 0.8337  12 Mg 3.16-3.18

Record 2
# Na2SrMgP2O8

An optimized crystal structure of Na2SrMgP2O8 (r2SCAN, Materials Project).

Computed properties:
- ΔH_f (0 K): -2836 meV/atom

a = 5.2476 Å, b = 9.1518 Å, c = 13.4078 Å
α = 90.04°, β = 90.00°, γ = 90.00°
Closest atoms and distances in Å follow each position.
Sites, in units of the cell vectors:
1 Na 0.9862 0.6763 0.0877  4 O 2.27-2.53
2 Na 0.4862 0.8237 0.9123  4 O 2.27-2.53
3 Na 0.0138 0.3237 0.9123  4 O 2.27-2.53
4 Na 0.5138 0.1763 0.0877  4 O 2.27-2.53
5 Na 0.9884 0.6553 0.5877  3 O 2.27-2.53
6 Na 0.4884 0.8447 0.4123  3 O 2.27-2.53
7 Na 0.0116 0.3447 0.4123  3 O 2.27-2.53
8 Na 0.5116 0.1553 0.5877  3 O 2.27-2.53
9 Sr 0.4610 0.5310 0.2498  8 O 2.56-2.74
10 Sr 0.9610 0.9690 0.7502  8 O 2.56-2.74
11 Sr 0.5390 0.4690 0.7502  8 O 2.56-2.74
12 Sr 0.0390 0.0310 0.2498  8 O 2.56-2.74
13 Mg 0.5000 0.5000 0.5000  6 O 2.01-2.10
14 Mg 0.0000 0.0000 0.5000  6 O 2.01-2.10
15 Mg 0.5000 0.5000 0.0000  6 O 2.04-2.07
16 Mg 0.0000 0.0000 0.0000  6 O 2.04-2.07
17 P 0.9799 0.6776 0.3668  4 O 1.52-1.55
18 P 0.4799 0.8224 0.6332  4 O 1.52-1.55
19 P 0.0201 0.3224 0.6332  4 O 1.52-1.55
20 P 0.5201 0.1776 0.3668  4 O 1.52-1.55
21 P 0.0101 0.6559 0.8671  4 O 1.52-1.55
22 P 0.5101 0.8441 0.1329  4 O 1.52-1.55
23 P 0.9899 0.3441 0.1329  4 O 1.52-1.55
24 P 0.4899 0.1559 0.8671  4 O 1.52-1.55
25 O 0.9856 0.6469 0.2555  1 P 1.52
26 O 0.4856 0.8531 0.7445  1 P 1.52
27 O 0.0144 0.3531 0.7445  1 P 1.52
28 O 0.5144 0.1469 0.2555  1 P 1.52
29 O 0.9974 0.8423 0.3895  1 P 1.54
30 O 0.4974 0.6577 0.6105  1 P 1.54
31 O 0.0026 0.1577 0.6105  1 P 1.54
32 O 0.5026 0.3423 0.3895  1 P 1.54
33 O 0.2034 0.5981 0.4190  1 P 1.55
34 O 0.7034 0.9019 0.5810  1 P 1.55
35 O 0.7966 0.4019 0.5810  1 P 1.55
36 O 0.2966 0.0981 0.4190  1 P 1.55
37 O 0.7300 0.6196 0.4120  1 P 1.54
38 O 0.2300 0.8804 0.5880  1 P 1.54
39 O 0.2700 0.3804 0.5880  1 P 1.54
40 O 0.7700 0.1196 0.4120  1 P 1.54
41 O 0.9650 0.6787 0.7562  1 P 1.52
42 O 0.4650 0.8213 0.2438  1 P 1.52
43 O 0.0350 0.3213 0.2438  1 P 1.52
44 O 0.5350 0.1787 0.7562  1 P 1.52
45 O 0.0023 0.8054 0.9210  1 P 1.55
46 O 0.5023 0.6946 0.0790  1 P 1.55
47 O 0.9977 0.1946 0.0790  1 P 1.55
48 O 0.4977 0.3054 0.9210  1 P 1.55
49 O 0.2712 0.5856 0.8885  1 P 1.54
50 O 0.7712 0.9144 0.1115  1 P 1.54
51 O 0.7288 0.4144 0.1115  1 P 1.54
52 O 0.2288 0.0856 0.8885  1 P 1.54
53 O 0.8004 0.5577 0.9116  1 P 1.54
54 O 0.3004 0.9423 0.0884  1 P 1.54
55 O 0.1996 0.4423 0.0884  1 P 1.54
56 O 0.6996 0.0577 0.9116  1 P 1.54